Entry 1:
Entry from the Materials Project: CaPrMn2O6 after structural relaxation (PBE with a Hubbard U).

Computed properties:
As for the energy of formation: -63.25 kcal/mol of atoms. As for the total energy: -7.477 eV/atom.

a b c (Å): 7.721 5.500 5.454
angles (deg): 90.00 90.00 90.00
Positions (direct):
Ca 0.000 0.209 0.000
Ca 0.500 0.791 0.500
Pr 0.000 0.714 0.519
Pr 0.500 0.286 0.019
Mn 0.250 0.249 0.510
Mn 0.250 0.751 0.010
Mn 0.750 0.249 0.510
Mn 0.750 0.751 0.010
O 0.000 0.264 0.432
O 0.000 0.767 0.082
O 0.208 0.466 0.794
O 0.211 0.969 0.729
O 0.289 0.031 0.229
O 0.292 0.534 0.294
O 0.500 0.233 0.582
O 0.500 0.736 0.932
O 0.708 0.534 0.294
O 0.711 0.031 0.229
O 0.789 0.969 0.729
O 0.792 0.466 0.794

Entry 2:
Entry from the Materials Project: CaPr2Mn3O9 after structural relaxation (PBE with a Hubbard U).

Computed properties:
As for the energy of formation: -57.83 kcal/mol of atoms. As for the total energy: -7.334 eV/atom.

a b c (Å): 5.517 5.961 7.296
angles (deg): 89.18 89.44 76.41
Positions (direct):
Ca 0.000 0.000 0.000
Pr 0.279 0.443 0.750
Pr 0.990 0.001 0.526
Mn 0.040 0.444 0.259
Mn 0.484 0.811 0.259
Mn 0.558 0.883 0.795
O 0.023 0.394 0.505
O 0.034 0.406 0.012
O 0.210 0.096 0.254
O 0.233 0.064 0.765
O 0.404 0.728 0.503
O 0.431 0.731 0.007
O 0.672 0.160 0.751
O 0.846 0.769 0.262
O 0.897 0.738 0.786

Entry 3:
Entry from the Materials Project: SrCaMnRuO6 after structural relaxation (PBE with a Hubbard U).

Computed properties:
As for the energy of formation: -54.32 kcal/mol of atoms. As for the total energy: -6.959 eV/atom.

a b c (Å): 5.643 5.692 7.648
angles (deg): 90.00 90.61 90.00
Positions (direct):
Sr 0.246 0.000 0.000
Sr 0.754 0.500 0.000
Ca 0.255 0.078 0.499
Ca 0.745 0.578 0.501
Mn 0.248 0.535 0.746
Mn 0.752 0.035 0.254
Ru 0.249 0.534 0.256
Ru 0.751 0.034 0.744
O 0.027 0.238 0.779
O 0.048 0.253 0.220
O 0.162 0.504 0.505
O 0.318 0.545 0.997
O 0.453 0.814 0.297
O 0.469 0.832 0.704
O 0.531 0.332 0.296
O 0.547 0.314 0.703
O 0.682 0.045 0.003
O 0.838 0.004 0.495
O 0.952 0.753 0.780
O 0.973 0.738 0.221

Entry 4:
Entry from the Materials Project: Sr3CaMn2S2O5 after structural relaxation (PBE with a Hubbard U).

Computed properties:
As for the energy of formation: -56.71 kcal/mol of atoms. As for the total energy: -6.354 eV/atom.

a b c (Å): 14.652 14.652 14.652
angles (deg): 164.41 164.41 22.11
Positions (direct):
Sr 0.000 0.000 0.000
Sr 0.131 0.131 0.000
Sr 0.869 0.869 0.000
Ca 0.250 0.750 0.500
Mn 0.432 0.432 0.000
Mn 0.568 0.568 0.000
S 0.315 0.315 0.000
S 0.685 0.685 0.000
O 0.075 0.575 0.500
O 0.425 0.925 0.500
O 0.500 0.500 0.000
O 0.575 0.075 0.500
O 0.925 0.425 0.500

Entry 5:
Entry from the Materials Project: Ca2MnSbO6 after structural relaxation (PBE with a Hubbard U).

Computed properties:
As for the energy of formation: -59.99 kcal/mol of atoms. As for the total energy: -6.722 eV/atom.

a b c (Å): 5.556 11.422 7.643
angles (deg): 90.00 90.74 90.00
Positions (direct):
O 0.306 0.355 0.952
O 0.807 0.895 0.452
Ca 0.990 0.526 0.251
O 0.307 0.855 0.952
O 0.209 0.097 0.951
O 0.791 0.403 0.049
O 0.709 0.653 0.451
O 0.291 0.847 0.549
O 0.806 0.395 0.452
Ca 0.990 0.026 0.251
Sb 0.000 0.750 0.500
Ca 0.510 0.776 0.249
O 0.595 0.017 0.744
O 0.194 0.105 0.548
O 0.291 0.347 0.549
Ca 0.510 0.276 0.249
Ca 0.010 0.474 0.749
O 0.694 0.145 0.048
Sb 0.500 0.000 0.000
Sb 0.000 0.250 0.500
O 0.905 0.767 0.756
Ca 0.010 0.974 0.749
Ca 0.490 0.724 0.751
O 0.905 0.266 0.756
Mn 0.000 0.750 0.000
O 0.209 0.597 0.951
O 0.594 0.517 0.744
O 0.405 0.983 0.256
O 0.405 0.484 0.256
Sb 0.500 0.500 0.000
O 0.694 0.645 0.048
Mn 0.000 0.250 0.000
Mn 0.500 0.500 0.500
O 0.709 0.153 0.451
O 0.792 0.903 0.049
O 0.094 0.233 0.244
Mn 0.500 0.000 0.500
Ca 0.490 0.224 0.751
O 0.194 0.605 0.548
O 0.094 0.733 0.244

Entry 6:
Entry from the Materials Project: Ca4Mn3SbO12 after structural relaxation (PBE with a Hubbard U).

Computed properties:
As for the energy of formation: -58.70 kcal/mol of atoms. As for the total energy: -6.834 eV/atom.

a b c (Å): 5.354 9.554 9.587
angles (deg): 69.39 89.80 89.68
Positions (direct):
Ca 0.008 0.149 0.111
Ca 0.010 0.658 0.615
Ca 0.487 0.901 0.361
Ca 0.488 0.412 0.854
Ca 0.512 0.588 0.146
Ca 0.513 0.099 0.639
Ca 0.990 0.342 0.385
Ca 0.992 0.851 0.889
Mn 0.000 0.000 0.500
Mn 0.000 0.500 0.000
Mn 0.495 0.247 0.249
Mn 0.500 0.000 0.000
Mn 0.500 0.500 0.500
Mn 0.505 0.753 0.751
Sb 0.003 0.255 0.751
Sb 0.997 0.745 0.249
O 0.084 0.631 0.112
O 0.085 0.147 0.619
O 0.202 0.920 0.120
O 0.203 0.432 0.629
O 0.208 0.627 0.840
O 0.212 0.123 0.332
O 0.290 0.374 0.083
O 0.292 0.877 0.590
O 0.300 0.175 0.885
O 0.309 0.668 0.366
O 0.419 0.896 0.864
O 0.423 0.372 0.360
O 0.577 0.628 0.640
O 0.581 0.104 0.136
O 0.691 0.332 0.634
O 0.700 0.825 0.115
O 0.708 0.123 0.410
O 0.710 0.626 0.917
O 0.788 0.877 0.668
O 0.792 0.373 0.160
O 0.797 0.568 0.371
O 0.798 0.080 0.880
O 0.915 0.853 0.381
O 0.916 0.369 0.888

Entry 7:
Entry from the Materials Project: Ca2MnSbO6 after structural relaxation (PBE with a Hubbard U).

Computed properties:
As for the energy of formation: -59.92 kcal/mol of atoms. As for the total energy: -6.719 eV/atom.

a b c (Å): 5.686 7.718 11.189
angles (deg): 90.00 93.86 90.00
Positions (direct):
O 0.297 0.951 0.349
Ca 0.962 0.250 0.996
Ca 0.962 0.250 0.496
O 0.037 0.250 0.792
O 0.297 0.549 0.349
O 0.297 0.951 0.849
Ca 0.561 0.750 0.761
O 0.703 0.049 0.651
Sb 0.500 0.500 0.500
O 0.459 0.750 0.553
Mn 0.000 0.500 0.250
O 0.541 0.250 0.947
Mn 0.000 0.000 0.750
O 0.221 0.449 0.090
Ca 0.439 0.250 0.739
O 0.703 0.451 0.151
O 0.541 0.250 0.447
Sb 0.500 0.000 0.500
Sb 0.500 0.000 0.000
Sb 0.500 0.500 0.000
O 0.221 0.449 0.590
Ca 0.439 0.250 0.239
Ca 0.561 0.750 0.261
O 0.963 0.750 0.208
O 0.037 0.250 0.292
Ca 0.038 0.750 0.004
O 0.779 0.949 0.910
O 0.779 0.551 0.910
O 0.703 0.451 0.651
O 0.459 0.750 0.053
O 0.963 0.750 0.708
Mn 0.000 0.500 0.750
O 0.779 0.949 0.410
O 0.221 0.051 0.090
O 0.703 0.049 0.151
O 0.297 0.549 0.849
Mn 0.000 0.000 0.250
Ca 0.038 0.750 0.504
O 0.221 0.051 0.590
O 0.779 0.551 0.410

Entry 8:
Entry from the Materials Project: Ca4Mn3SbO12 after structural relaxation (PBE with a Hubbard U).

Computed properties:
As for the energy of formation: -58.72 kcal/mol of atoms. As for the total energy: -6.835 eV/atom.

a b c (Å): 5.410 5.503 7.714
angles (deg): 90.13 90.06 90.01
Positions (direct):
Ca 0.007 0.459 0.233
Ca 0.489 0.949 0.234
Ca 0.511 0.051 0.766
Ca 0.993 0.541 0.767
Mn 0.000 0.000 0.000
Mn 0.500 0.500 0.000
Mn 0.500 0.500 0.500
Sb 0.000 0.000 0.500
O 0.085 0.977 0.752
O 0.202 0.701 0.453
O 0.209 0.712 0.038
O 0.289 0.210 0.039
O 0.302 0.203 0.453
O 0.420 0.477 0.748
O 0.580 0.523 0.252
O 0.698 0.797 0.547
O 0.711 0.790 0.961
O 0.791 0.288 0.962
O 0.798 0.299 0.547
O 0.915 0.023 0.248

energy of formation of number 6 (Ca4Mn3SbO12)? -58.70 kcal/mol of atoms